#a
## Mn2ZnO4 (PBE with a Hubbard U)

Data for an optimized crystal structure of Mn2ZnO4.

The calculation puts the magnetization at 8.00 μB per formula unit. For the density, the calculation gives 5.01 g/cm3. Its volume is 11.33 Å³ per atom.

a b c (Å): 6.084 6.084 20.133
angles (deg): 81.59 81.59 59.73
Fractional positions:
O 0.028 0.559 0.319
O 0.190 0.722 0.432
O 0.226 0.683 0.937
O 0.683 0.226 0.937
O 0.681 0.681 0.937
O 0.070 0.070 0.321
O 0.807 0.281 0.569
O 0.071 0.071 0.813
O 0.570 0.570 0.320
O 0.978 0.434 0.687
O 0.324 0.324 0.065
O 0.769 0.318 0.063
O 0.934 0.934 0.180
O 0.429 0.429 0.685
O 0.319 0.319 0.571
O 0.281 0.807 0.569
O 0.679 0.679 0.430
O 0.468 0.943 0.181
O 0.181 0.181 0.927
O 0.930 0.930 0.678
O 0.820 0.820 0.071
O 0.559 0.028 0.319
O 0.569 0.569 0.821
O 0.318 0.769 0.063
O 0.180 0.180 0.430
O 0.521 0.067 0.813
O 0.430 0.430 0.179
O 0.943 0.468 0.181
O 0.067 0.521 0.813
O 0.722 0.190 0.432
O 0.816 0.816 0.571
O 0.434 0.978 0.687
Mn 0.375 0.875 0.375
Mn 0.501 0.501 0.000
Mn 0.350 0.350 0.466
Mn 0.624 0.124 0.125
Mn 0.400 0.400 0.283
Mn 0.650 0.650 0.532
Mn 0.099 0.099 0.219
Mn 0.126 0.626 0.625
Mn 0.151 0.151 0.031
Mn 0.875 0.375 0.375
Mn 0.124 0.624 0.125
Mn 0.875 0.375 0.875
Mn 0.626 0.126 0.625
Mn 0.249 0.249 0.750
Mn 0.901 0.901 0.780
Mn 0.375 0.875 0.875
Zn 0.751 0.751 0.250
Zn 0.875 0.875 0.375
Zn 0.375 0.375 0.875
Zn 0.999 0.999 0.500
Zn 0.625 0.625 0.127
Zn 0.601 0.601 0.718
Zn 0.850 0.850 0.970
Zn 0.126 0.126 0.623

---

#b
## Mn2ZnO4 (PBE with a Hubbard U)

Data for an optimized crystal structure of Mn2ZnO4.

The calculation puts the magnetization at 8.00 μB per formula unit. For the density, the calculation gives 5.00 g/cm3. Its volume is 11.34 Å³ per atom.

a b c (Å): 6.078 6.078 6.078
angles (deg): 60.00 60.00 60.00
Fractional positions:
Mn 0.125 0.625 0.125
Mn 0.125 0.125 0.625
Mn 0.125 0.125 0.125
Mn 0.625 0.125 0.125
O 0.364 0.364 0.908
O 0.886 0.342 0.886
O 0.886 0.886 0.342
O 0.364 0.908 0.364
O 0.364 0.364 0.364
O 0.886 0.886 0.886
O 0.342 0.886 0.886
O 0.908 0.364 0.364
Zn 0.750 0.750 0.750
Zn 0.500 0.500 0.500

---

#b (7 meV per atom below the next structure)

---

#a
## BaNdCo2O5 (PBE with a Hubbard U)

Data for an optimized crystal structure of BaNdCo2O5.

The calculation puts the magnetization at 5.84 μB per formula unit. For the density, the calculation gives 6.53 g/cm3. Its volume is 13.55 Å³ per atom.

a b c (Å): 3.958 3.958 7.783
angles (deg): 90.00 90.00 90.00
Fractional positions:
O 0.500 0.000 0.808
O 0.000 0.500 0.808
O 0.000 0.000 0.500
O 0.000 0.500 0.192
O 0.500 0.000 0.192
Co 0.000 0.000 0.755
Co 0.000 0.000 0.245
Ba 0.500 0.500 0.500
Nd 0.500 0.500 0.000

---

#b
## BaNdCo2O5 (PBE with a Hubbard U)

Data for an optimized crystal structure of BaNdCo2O5.

The calculation puts the magnetization at 5.00 μB per formula unit. For the density, the calculation gives 6.54 g/cm3. Its volume is 13.54 Å³ per atom.

a b c (Å): 3.940 3.915 7.898
angles (deg): 90.00 90.00 90.00
Fractional positions:
O 0.500 0.000 0.806
O 0.500 0.000 0.198
O 0.000 0.000 0.499
O 0.000 0.500 0.186
O 0.000 0.500 0.807
Nd 0.500 0.500 0.000
Ba 0.500 0.500 0.503
Co 0.000 0.000 0.241
Co 0.000 0.000 0.760

---

#a (23 meV per atom below the next structure)